Record 1
The following is a DFT calculation (PBE) of a geometry-optimized Ti2ZnP2O8 structure.

Unit cell a=8.890 b=8.890 c=16.772 alpha=115.69 beta=115.69 gamma=33.64
Positions (direct):
Ti 0.000 0.500 0.000
Ti 0.113 0.712 0.543
Ti 0.185 0.815 0.750
Ti 0.288 0.887 0.957
Ti 0.500 0.000 0.500
Ti 0.712 0.113 0.043
Ti 0.815 0.185 0.250
Ti 0.887 0.288 0.457
Zn 0.011 0.641 0.836
Zn 0.359 0.989 0.664
Zn 0.641 0.011 0.336
Zn 0.989 0.359 0.164
P 0.010 0.543 0.631
P 0.268 0.708 0.383
P 0.292 0.732 0.117
P 0.457 0.990 0.869
P 0.543 0.010 0.131
P 0.708 0.268 0.883
P 0.732 0.292 0.617
P 0.990 0.457 0.369
O 0.048 0.848 0.301
O 0.114 0.418 0.711
O 0.115 0.709 0.057
O 0.128 0.310 0.548
O 0.128 0.619 0.646
O 0.152 0.952 0.199
O 0.202 0.673 0.439
O 0.203 0.308 0.893
O 0.291 0.885 0.443
O 0.308 0.203 0.393
O 0.310 0.128 0.048
O 0.327 0.798 0.061
O 0.381 0.872 0.854
O 0.415 0.558 0.854
O 0.418 0.114 0.211
O 0.442 0.585 0.646
O 0.558 0.415 0.354
O 0.582 0.886 0.789
O 0.585 0.442 0.146
O 0.619 0.128 0.146
O 0.673 0.202 0.939
O 0.690 0.872 0.952
O 0.692 0.797 0.607
O 0.709 0.115 0.557
O 0.797 0.692 0.107
O 0.798 0.327 0.561
O 0.848 0.048 0.801
O 0.872 0.381 0.354
O 0.872 0.690 0.452
O 0.885 0.291 0.943
O 0.886 0.582 0.289
O 0.952 0.152 0.699

Summary:
- total magnetization (μB per formula unit) = 3.2
- symmetry = C2/c
- VASP energy (eV for the cell shown) = -376.27
- formation energy (eV per atom) = -2.47
- volume (Å³/cell) = 654.67

=====

Record 2
The following is a DFT calculation (PBE) of a geometry-optimized DyNi3 structure.

Unit cell a=8.590 b=8.590 c=8.590 alpha=33.52 beta=33.52 gamma=33.52
Positions (direct):
Dy 0.000 0.000 0.000
Dy 0.139 0.139 0.139
Dy 0.861 0.861 0.861
Ni 0.082 0.582 0.582
Ni 0.333 0.333 0.333
Ni 0.418 0.418 0.918
Ni 0.418 0.918 0.418
Ni 0.500 0.500 0.500
Ni 0.582 0.082 0.582
Ni 0.582 0.582 0.082
Ni 0.667 0.667 0.667
Ni 0.918 0.418 0.418

Summary:
- total magnetization (μB per formula unit) = 0.4
- symmetry = R-3m
- VASP energy (eV for the cell shown) = -70.82
- formation energy (eV per atom) = -0.41
- volume (Å³/cell) = 172.18

=====

Record 3
The following is a DFT calculation (PBE) of a geometry-optimized Ca3Si2O10 structure.

Unit cell a=8.364 b=8.364 c=11.905 alpha=122.97 beta=122.97 gamma=39.07
Positions (direct):
Ca 0.171 0.654 0.721
Ca 0.221 0.779 0.500
Ca 0.356 0.888 0.322
Ca 0.654 0.171 0.221
Ca 0.779 0.221 0.000
Ca 0.888 0.356 0.822
Si 0.117 0.681 0.030
Si 0.434 0.831 0.007
Si 0.681 0.117 0.530
Si 0.831 0.434 0.507
O 0.016 0.562 0.018
O 0.029 0.741 0.886
O 0.042 0.123 0.440
O 0.096 0.500 0.274
O 0.123 0.042 0.940
O 0.429 0.991 0.748
O 0.434 0.464 0.089
O 0.464 0.434 0.589
O 0.489 0.810 0.157
O 0.500 0.096 0.774
O 0.542 0.559 0.400
O 0.559 0.542 0.900
O 0.561 0.928 0.026
O 0.562 0.016 0.518
O 0.741 0.029 0.386
O 0.810 0.489 0.657
O 0.928 0.561 0.526
O 0.964 0.992 0.643
O 0.991 0.429 0.248
O 0.992 0.964 0.143

Summary:
- total magnetization (μB per formula unit) = 4.0
- symmetry = Cc
- VASP energy (eV for the cell shown) = -199.97
- formation energy (eV per atom) = -2.35
- volume (Å³/cell) = 428.48

=====

Record 4
The following is a DFT calculation (PBE) of a geometry-optimized HoThTc2 structure.

Unit cell a=4.906 b=4.906 c=4.906 alpha=60.00 beta=60.00 gamma=60.00
Positions (direct):
Ho 0.000 0.000 0.000
Th 0.500 0.500 0.500
Tc 0.250 0.250 0.250
Tc 0.750 0.750 0.750

Summary:
- total magnetization (μB per formula unit) = 0.0
- symmetry = Fm-3m
- VASP energy (eV for the cell shown) = -32.91
- formation energy (eV per atom) = -0.05
- volume (Å³/cell) = 83.47

=====

Record 5
The following is a DFT calculation (PBE) of a geometry-optimized Mg149Mn structure.

Unit cell a=15.887 b=15.887 c=15.621 alpha=90.00 beta=90.00 gamma=120.00
Positions (direct):
Mg 0.000 0.000 0.000
Mg 0.000 0.000 0.334
Mg 0.000 0.000 0.666
Mg 0.000 0.200 0.000
Mg 0.000 0.200 0.333
Mg 0.000 0.200 0.667
Mg 0.000 0.400 0.000
Mg 0.000 0.600 0.000
Mg 0.000 0.800 0.000
Mg 0.000 0.800 0.333
Mg 0.000 0.800 0.667
Mg 0.001 0.401 0.334
Mg 0.001 0.401 0.666
Mg 0.001 0.600 0.334
Mg 0.001 0.600 0.666
Mg 0.133 0.267 0.167
Mg 0.133 0.267 0.833
Mg 0.133 0.867 0.167
Mg 0.133 0.867 0.833
Mg 0.134 0.067 0.167
Mg 0.134 0.067 0.500
Mg 0.134 0.067 0.833
Mg 0.134 0.268 0.500
Mg 0.134 0.467 0.168
Mg 0.134 0.467 0.832
Mg 0.134 0.666 0.168
Mg 0.134 0.666 0.832
Mg 0.134 0.866 0.500
Mg 0.142 0.474 0.500
Mg 0.142 0.667 0.500
Mg 0.199 0.399 0.334
Mg 0.199 0.399 0.666
Mg 0.199 0.801 0.334
Mg 0.199 0.801 0.666
Mg 0.200 0.000 0.000
Mg 0.200 0.000 0.333
Mg 0.200 0.000 0.667
Mg 0.200 0.200 0.000
Mg 0.200 0.200 0.333
Mg 0.200 0.200 0.667
Mg 0.200 0.400 0.000
Mg 0.200 0.600 0.000
Mg 0.200 0.800 0.000
Mg 0.205 0.603 0.342
Mg 0.205 0.603 0.658
Mg 0.333 0.065 0.500
Mg 0.333 0.269 0.500
Mg 0.333 0.474 0.500
Mg 0.333 0.667 0.167
Mg 0.333 0.667 0.833
Mg 0.333 0.858 0.500
Mg 0.334 0.066 0.167
Mg 0.334 0.066 0.833
Mg 0.334 0.267 0.167
Mg 0.334 0.267 0.833
Mg 0.334 0.467 0.168
Mg 0.334 0.467 0.832
Mg 0.334 0.866 0.168
Mg 0.334 0.866 0.832
Mg 0.397 0.603 0.342
Mg 0.397 0.603 0.658
Mg 0.397 0.795 0.342
Mg 0.397 0.795 0.658
Mg 0.398 0.199 0.000
Mg 0.400 0.000 0.000
Mg 0.400 0.200 0.334
Mg 0.400 0.200 0.666
Mg 0.400 0.400 0.000
Mg 0.400 0.401 0.334
Mg 0.400 0.401 0.666
Mg 0.400 0.600 0.000
Mg 0.400 0.800 0.000
Mg 0.400 0.999 0.334
Mg 0.400 0.999 0.666
Mg 0.526 0.667 0.500
Mg 0.526 0.858 0.500
Mg 0.532 0.065 0.500
Mg 0.532 0.468 0.500
Mg 0.533 0.067 0.167
Mg 0.533 0.067 0.833
Mg 0.533 0.267 0.167
Mg 0.533 0.267 0.500
Mg 0.533 0.267 0.833
Mg 0.533 0.467 0.167
Mg 0.533 0.467 0.833
Mg 0.533 0.666 0.168
Mg 0.533 0.666 0.832
Mg 0.533 0.866 0.168
Mg 0.533 0.866 0.832
Mg 0.599 0.600 0.334
Mg 0.599 0.600 0.666
Mg 0.599 0.999 0.334
Mg 0.599 0.999 0.666
Mg 0.600 0.000 0.000
Mg 0.600 0.199 0.000
Mg 0.600 0.200 0.334
Mg 0.600 0.200 0.666
Mg 0.600 0.400 0.000
Mg 0.600 0.400 0.334
Mg 0.600 0.400 0.666
Mg 0.600 0.600 0.000
Mg 0.600 0.800 0.000
Mg 0.601 0.801 0.334
Mg 0.601 0.801 0.666
Mg 0.731 0.065 0.500
Mg 0.731 0.667 0.500
Mg 0.732 0.866 0.500
Mg 0.733 0.066 0.167
Mg 0.733 0.066 0.833
Mg 0.733 0.267 0.167
Mg 0.733 0.267 0.500
Mg 0.733 0.267 0.833
Mg 0.733 0.467 0.167
Mg 0.733 0.467 0.500
Mg 0.733 0.467 0.833
Mg 0.733 0.666 0.167
Mg 0.733 0.666 0.833
Mg 0.733 0.867 0.167
Mg 0.733 0.867 0.833
Mg 0.800 0.000 0.000
Mg 0.800 0.000 0.333
Mg 0.800 0.000 0.667
Mg 0.800 0.200 0.334
Mg 0.800 0.200 0.666
Mg 0.800 0.400 0.334
Mg 0.800 0.400 0.666
Mg 0.800 0.600 0.334
Mg 0.800 0.600 0.666
Mg 0.800 0.800 0.000
Mg 0.800 0.800 0.333
Mg 0.800 0.800 0.667
Mg 0.801 0.199 0.000
Mg 0.801 0.400 0.000
Mg 0.801 0.602 0.000
Mg 0.933 0.067 0.167
Mg 0.933 0.067 0.500
Mg 0.933 0.067 0.833
Mg 0.933 0.467 0.167
Mg 0.933 0.467 0.833
Mg 0.933 0.866 0.167
Mg 0.933 0.866 0.500
Mg 0.933 0.866 0.833
Mg 0.934 0.267 0.167
Mg 0.934 0.267 0.833
Mg 0.934 0.666 0.167
Mg 0.934 0.666 0.833
Mg 0.935 0.269 0.500
Mg 0.935 0.468 0.500
Mg 0.935 0.667 0.500
Mn 0.333 0.667 0.500

Summary:
- total magnetization (μB per formula unit) = 0.0
- symmetry = P-6m2
- VASP energy (eV for the cell shown) = -249.38
- formation energy (eV per atom) = -0.01
- volume (Å³/cell) = 3414.28

=====

Record 6
The following is a DFT calculation (PBE) of a geometry-optimized BaNa2Si2O6 structure.

Unit cell a=5.777 b=4.829 c=11.560 alpha=90.00 beta=91.44 gamma=90.00
Positions (direct):
Ba 0.247 0.000 0.403
Ba 0.753 0.500 0.597
Na 0.208 0.509 0.177
Na 0.315 0.012 0.012
Na 0.685 0.512 0.988
Na 0.792 0.009 0.823
Si 0.177 0.551 0.846
Si 0.276 0.057 0.693
Si 0.724 0.557 0.307
Si 0.823 0.051 0.154
O 0.039 0.026 0.616
O 0.100 0.011 0.177
O 0.250 0.883 0.818
O 0.277 0.490 0.975
O 0.319 0.381 0.742
O 0.491 0.484 0.376
O 0.509 0.984 0.624
O 0.681 0.881 0.258
O 0.723 0.990 0.025
O 0.750 0.383 0.182
O 0.900 0.511 0.823
O 0.961 0.526 0.384

Summary:
- total magnetization (μB per formula unit) = 0.0
- symmetry = P2_1
- VASP energy (eV for the cell shown) = -148.08
- formation energy (eV per atom) = -3.01
- volume (Å³/cell) = 322.37

=====

Record 7
The following is a DFT calculation (PBE) of a geometry-optimized CdB10H6O19 structure.

Unit cell a=7.890 b=19.308 c=12.534 alpha=90.00 beta=127.81 gamma=90.00
Positions (direct):
Cd 0.081 0.231 0.028
Cd 0.081 0.269 0.528
Cd 0.919 0.731 0.472
Cd 0.919 0.769 0.972
B 0.008 0.013 0.283
B 0.008 0.487 0.783
B 0.164 0.711 0.824
B 0.164 0.789 0.324
B 0.205 0.238 0.305
B 0.205 0.262 0.805
B 0.222 0.592 0.917
B 0.222 0.908 0.417
B 0.311 0.118 0.663
B 0.311 0.382 0.163
B 0.333 0.730 0.229
B 0.333 0.770 0.729
B 0.435 0.686 0.082
B 0.435 0.814 0.582
B 0.470 0.521 0.709
B 0.470 0.979 0.209
B 0.482 0.620 0.595
B 0.482 0.880 0.095
B 0.485 0.214 0.030
B 0.485 0.286 0.530
B 0.515 0.714 0.470
B 0.515 0.786 0.970
B 0.518 0.120 0.905
B 0.518 0.380 0.405
B 0.530 0.021 0.791
B 0.530 0.479 0.291
B 0.565 0.186 0.418
B 0.565 0.314 0.918
B 0.667 0.230 0.271
B 0.667 0.270 0.771
B 0.689 0.618 0.837
B 0.689 0.882 0.337
B 0.778 0.092 0.583
B 0.778 0.408 0.083
B 0.795 0.738 0.195
B 0.795 0.762 0.695
B 0.836 0.211 0.676
B 0.836 0.289 0.176
B 0.992 0.513 0.217
B 0.992 0.987 0.717
H 0.023 0.105 0.911
H 0.023 0.395 0.411
H 0.101 0.123 0.457
H 0.101 0.377 0.957
H 0.138 0.605 0.280
H 0.138 0.895 0.780
H 0.158 0.088 0.067
H 0.158 0.412 0.567
H 0.213 0.513 0.421
H 0.213 0.987 0.921
H 0.458 0.063 0.294
H 0.458 0.437 0.794
H 0.542 0.563 0.206
H 0.542 0.937 0.706
H 0.787 0.013 0.079
H 0.787 0.487 0.579
H 0.842 0.588 0.433
H 0.842 0.912 0.933
H 0.862 0.105 0.220
H 0.862 0.395 0.720
H 0.899 0.623 0.043
H 0.899 0.877 0.543
H 0.977 0.605 0.589
H 0.977 0.895 0.089
O 0.002 0.246 0.183
O 0.002 0.254 0.683
O 0.026 0.581 0.196
O 0.026 0.919 0.696
O 0.035 0.116 0.992
O 0.035 0.384 0.492
O 0.109 0.016 0.843
O 0.109 0.484 0.343
O 0.119 0.638 0.812
O 0.119 0.862 0.312
O 0.162 0.523 0.897
O 0.162 0.977 0.397
O 0.164 0.151 0.541
O 0.164 0.349 0.041
O 0.169 0.734 0.715
O 0.169 0.766 0.215
O 0.263 0.227 0.917
O 0.263 0.273 0.417
O 0.294 0.717 0.109
O 0.294 0.783 0.609
O 0.340 0.194 0.305
O 0.340 0.306 0.805
O 0.379 0.052 0.668
O 0.379 0.448 0.168
O 0.380 0.725 0.957
O 0.380 0.775 0.457
O 0.384 0.612 0.048
O 0.384 0.888 0.548
O 0.385 0.042 0.203
O 0.385 0.458 0.703
O 0.389 0.154 0.780
O 0.389 0.346 0.280
O 0.408 0.553 0.590
O 0.408 0.947 0.090
O 0.426 0.649 0.480
O 0.426 0.851 0.980
O 0.489 0.210 0.148
O 0.489 0.290 0.648
O 0.511 0.710 0.352
O 0.511 0.790 0.852
O 0.574 0.149 0.020
O 0.574 0.351 0.520
O 0.592 0.053 0.910
O 0.592 0.447 0.410
O 0.611 0.654 0.720
O 0.611 0.846 0.220
O 0.615 0.542 0.297
O 0.615 0.958 0.797
O 0.616 0.112 0.452
O 0.616 0.388 0.952
O 0.620 0.225 0.543
O 0.620 0.275 0.043
O 0.621 0.552 0.832
O 0.621 0.948 0.332
O 0.660 0.694 0.195
O 0.660 0.806 0.695
O 0.706 0.217 0.391
O 0.706 0.283 0.891
O 0.737 0.727 0.583
O 0.737 0.773 0.083
O 0.831 0.234 0.785
O 0.831 0.266 0.285
O 0.836 0.651 0.959
O 0.836 0.849 0.459
O 0.838 0.023 0.603
O 0.838 0.477 0.103
O 0.881 0.138 0.688
O 0.881 0.362 0.188
O 0.891 0.516 0.657
O 0.891 0.984 0.157
O 0.965 0.616 0.508
O 0.965 0.884 0.008
O 0.974 0.081 0.304
O 0.974 0.419 0.804
O 0.998 0.746 0.317
O 0.998 0.754 0.817

Summary:
- total magnetization (μB per formula unit) = 0.0
- symmetry = P2_1/c
- VASP energy (eV for the cell shown) = -1019.25
- formation energy (eV per atom) = -2.38
- volume (Å³/cell) = 1508.68

=====

- Look up the volume of the fourth one.
  83.47 Å³/cell

=====

- Among the records above, which one has the highest formation energy?
  Mg149Mn

=====

- The lowest formation energy belongs to which entry?
  BaNa2Si2O6

=====

- Look up the volume of the fifth one.
  3414.28 Å³/cell